{"formula": "Co7O12", "functional": "GGA+U", "state": "relaxed", "cell": [[4.975, 0.274, -0.267], [2.416, 4.338, 0.168], [-0.925, 1.268, 9.609]], "species": ["Co", "Co", "Co", "Co", "Co", "Co", "Co", "O", "O", "O", "O", "O", "O", "O", "O", "O", "O", "O", "O"], "frac_coords": [[0.071, 0.080, 0.248], [0.415, 0.413, 0.254], [0.044, 0.550, 0.972], [0.568, 0.572, 0.746], [0.254, 0.238, 0.752], [0.540, 0.000, 0.517], [0.747, 0.747, 0.250], [0.705, 0.454, 0.152], [0.837, 0.607, 0.637], [0.789, 0.014, 0.363], [0.245, 0.970, 0.632], [0.492, 0.308, 0.645], [0.966, 0.260, 0.866], [0.317, 0.507, 0.861], [0.160, 0.356, 0.362], [0.016, 0.774, 0.138], [0.598, 0.849, 0.859], [0.458, 0.722, 0.353], [0.356, 0.156, 0.143]], "sg": "P1, No. 1", "delta_e_f_kcal_per_mol_atoms": -23.3, "magnetic_moment_mub_per_cell": 9.04}